# 1
A plane-wave DFT calculation with PBE was carried out for a geometry-optimized Ca2Mg structure.

Results
Its space group is C2/m. The size of the total moment comes out at 0.00 μB/cell. The calculation puts the energy of formation at -39.7 meV/atom. As for the total DFT energy (no corrections): -11.46 eV/cell.

a = 7.3122 Å, b = 7.3122 Å, c = 8.1396 Å
α = 74.19°, β = 74.19°, γ = 30.24°
Closest atoms and distances in Å follow each position.
Fractional positions:
Mg (0.5135, 0.5135, 0.2205)  8 Ca 3.40-3.51, 1 Mg 3.72
Mg (0.4865, 0.4865, 0.7795)  8 Ca 3.40-3.51, 1 Mg 3.72
Ca (0.1385, 0.1385, 0.4454)  4 Mg 3.45-3.51, 4 Ca 3.76-3.82
Ca (0.8406, 0.8406, 0.0974)  4 Mg 3.40-3.46
Ca (0.1594, 0.1594, 0.9026)  4 Mg 3.40-3.46
Ca (0.8615, 0.8615, 0.5546)  4 Mg 3.45-3.51, 4 Ca 3.76-3.82

=====

# 2
A plane-wave DFT calculation with PBE was carried out for a geometry-optimized Ba structure.

Results
Its space group is Cmcm. The size of the total moment comes out at 0.00 μB/cell. The calculation puts the energy of formation at 0.1 meV/atom. The energy above the most stable polymorph in this dataset comes out at 0 meV per atom. As for the total DFT energy (no corrections): -3.84 eV/cell.

a = 4.3840 Å, b = 4.3840 Å, c = 7.2781 Å
α = 90.00°, β = 90.00°, γ = 111.91°
Closest atoms and distances in Å follow each position.
Fractional positions:
Ba (0.2559, 0.2559, 0.2500)  8 Ba 4.36-4.42
Ba (0.7441, 0.7441, 0.7500)  8 Ba 4.36-4.42

=====

- Which of these has the highest total DFT energy (no corrections)?
  Ba

=====

- Look up the size of the total moment of the second one.
  0.00 μB/cell